Record 1
{
  "formula": "LiFeSO4F",
  "functional": "PBE with a Hubbard U",
  "state": "optimized geometry",
  "lattice_angstrom": [[5.014, 0.035, -1.564], [2.487, 10.397, 2.582], [0.004, -0.043, 7.403]],
  "species": ["Li", "Li", "Li", "Li", "Fe", "Fe", "Fe", "Fe", "S", "S", "S", "S", "O", "O", "O", "O", "O", "O", "O", "O", "O", "O", "O", "O", "O", "O", "O", "O", "F", "F", "F", "F"],
  "frac_coords": [[0.953, 0.311, 0.476], [0.453, 0.811, 0.976], [0.547, 0.189, 0.024], [0.047, 0.689, 0.524], [0.500, 0.500, 0.000], [0.000, 0.000, 0.000], [0.000, 0.000, 0.500], [0.500, 0.500, 0.500], [0.009, 0.316, 0.928], [0.509, 0.816, 0.428], [0.491, 0.184, 0.572], [0.991, 0.684, 0.072], [0.223, 0.376, 0.025], [0.723, 0.876, 0.525], [0.277, 0.124, 0.475], [0.777, 0.624, 0.975], [0.781, 0.325, 0.011], [0.281, 0.825, 0.511], [0.720, 0.175, 0.489], [0.219, 0.675, 0.989], [0.147, 0.178, 0.971], [0.647, 0.678, 0.471], [0.353, 0.322, 0.529], [0.853, 0.822, 0.029], [0.894, 0.378, 0.710], [0.394, 0.878, 0.210], [0.606, 0.122, 0.790], [0.106, 0.622, 0.290], [0.663, 0.454, 0.300], [0.163, 0.954, 0.800], [0.837, 0.046, 0.200], [0.337, 0.546, 0.700]],
  "relative_energy_kj_per_mol_atoms": 0.0,
  "formation_enthalpy_0k_kj_per_mol_atoms": -211,
  "corrected_energy_ev_per_atom": -6.715
}

---

Record 2
{
  "formula": "Rb2LiFeF6",
  "functional": "PBE with a Hubbard U",
  "state": "optimized geometry",
  "lattice_angstrom": [[-0.253, 10.090, -2.306], [-5.442, 8.799, 0.404], [-0.489, 9.669, 3.669]],
  "species": ["Rb", "Rb", "Rb", "Rb", "Li", "Li", "Fe", "Fe", "F", "F", "F", "F", "F", "F", "F", "F", "F", "F", "F", "F"],
  "frac_coords": [[0.872, 0.872, 0.872], [0.128, 0.128, 0.128], [0.283, 0.283, 0.283], [0.717, 0.717, 0.717], [0.404, 0.404, 0.404], [0.596, 0.596, 0.596], [0.000, 0.000, 0.000], [0.500, 0.500, 0.500], [0.804, 0.804, 0.276], [0.276, 0.804, 0.804], [0.804, 0.276, 0.804], [0.196, 0.724, 0.196], [0.196, 0.196, 0.724], [0.724, 0.196, 0.196], [0.161, 0.608, 0.608], [0.608, 0.608, 0.161], [0.608, 0.161, 0.608], [0.392, 0.839, 0.392], [0.839, 0.392, 0.392], [0.392, 0.392, 0.839]],
  "crystal_system": "trigonal",
  "formation_enthalpy_0k_kj_per_mol_atoms": -286,
  "corrected_energy_ev_per_atom": -5.342
}

---

Record 3
{
  "formula": "SrLiFeF6",
  "functional": "PBE with a Hubbard U",
  "state": "optimized geometry",
  "lattice_angstrom": [[8.923, 0.000, 0.000], [0.000, 5.373, 0.000], [0.000, 0.394, 10.378]],
  "species": ["Sr", "Sr", "Sr", "Sr", "Li", "Li", "Li", "Li", "Fe", "Fe", "Fe", "Fe", "F", "F", "F", "F", "F", "F", "F", "F", "F", "F", "F", "F", "F", "F", "F", "F", "F", "F", "F", "F", "F", "F", "F", "F"],
  "frac_coords": [[0.708, 0.754, 0.497], [0.208, 0.246, 0.003], [0.792, 0.754, 0.997], [0.292, 0.246, 0.503], [0.079, 0.713, 0.740], [0.579, 0.287, 0.760], [0.921, 0.287, 0.260], [0.421, 0.713, 0.240], [0.915, 0.217, 0.741], [0.415, 0.783, 0.759], [0.585, 0.217, 0.241], [0.085, 0.783, 0.259], [0.265, 0.607, 0.861], [0.256, 0.883, 0.149], [0.093, 0.084, 0.358], [0.744, 0.117, 0.851], [0.952, 0.492, 0.860], [0.419, 0.375, 0.146], [0.919, 0.625, 0.354], [0.081, 0.375, 0.646], [0.048, 0.508, 0.140], [0.038, 0.006, 0.861], [0.407, 0.084, 0.858], [0.756, 0.117, 0.351], [0.907, 0.916, 0.642], [0.462, 0.006, 0.361], [0.581, 0.625, 0.854], [0.962, 0.994, 0.139], [0.765, 0.393, 0.639], [0.593, 0.916, 0.142], [0.538, 0.994, 0.639], [0.548, 0.492, 0.360], [0.235, 0.607, 0.361], [0.452, 0.508, 0.640], [0.244, 0.883, 0.649], [0.735, 0.393, 0.139]],
  "crystal_system": "monoclinic",
  "formation_enthalpy_0k_kj_per_mol_atoms": -320,
  "corrected_energy_ev_per_atom": -5.936
}

---

Record 4
{
  "formula": "LiTiFeF6",
  "functional": "PBE with a Hubbard U",
  "state": "optimized geometry",
  "lattice_angstrom": [[-8.242, 1.809, 3.076], [1.933, -8.201, -3.108], [1.291, -1.295, 4.220]],
  "species": ["Li", "Li", "Li", "Ti", "Ti", "Ti", "Fe", "Fe", "Fe", "F", "F", "F", "F", "F", "F", "F", "F", "F", "F", "F", "F", "F", "F", "F", "F", "F", "F"],
  "frac_coords": [[0.694, 0.000, 0.500], [0.000, 0.694, 0.500], [0.306, 0.306, 0.500], [0.352, 0.000, 0.000], [0.000, 0.352, 0.000], [0.648, 0.648, 0.000], [0.000, 0.000, 0.000], [0.333, 0.667, 0.490], [0.667, 0.333, 0.510], [0.104, 0.564, 0.257], [0.436, 0.541, 0.257], [0.564, 0.104, 0.743], [0.459, 0.896, 0.257], [0.541, 0.436, 0.743], [0.896, 0.459, 0.743], [0.105, 0.233, 0.228], [0.767, 0.873, 0.228], [0.233, 0.105, 0.772], [0.127, 0.895, 0.228], [0.873, 0.767, 0.772], [0.895, 0.127, 0.772], [0.441, 0.201, 0.257], [0.799, 0.240, 0.257], [0.201, 0.441, 0.743], [0.760, 0.559, 0.257], [0.240, 0.799, 0.743], [0.559, 0.760, 0.743]],
  "crystal_system": "trigonal",
  "formation_enthalpy_0k_kj_per_mol_atoms": -298,
  "corrected_energy_ev_per_atom": -6.391
}

---

Record 5
{
  "formula": "MgFeF5",
  "functional": "PBE with a Hubbard U",
  "state": "optimized geometry",
  "lattice_angstrom": [[-5.038, -1.645, 0.213], [-0.024, -5.238, 0.831], [-2.050, -1.641, 7.090]],
  "species": ["Mg", "Mg", "Fe", "Fe", "F", "F", "F", "F", "F", "F", "F", "F", "F", "F"],
  "frac_coords": [[0.525, 0.475, 0.750], [0.475, 0.525, 0.250], [0.000, 0.000, 0.500], [0.000, 0.000, 0.000], [0.124, 0.876, 0.250], [0.876, 0.124, 0.750], [0.722, 0.784, 0.134], [0.216, 0.278, 0.366], [0.682, 0.287, 0.450], [0.713, 0.318, 0.050], [0.318, 0.713, 0.550], [0.287, 0.682, 0.950], [0.784, 0.722, 0.634], [0.278, 0.216, 0.866]],
  "crystal_system": "monoclinic",
  "relative_energy_kj_per_mol_atoms": 0.0,
  "formation_enthalpy_0k_kj_per_mol_atoms": -300,
  "corrected_energy_ev_per_atom": -5.911
}

---

Record 6
{
  "formula": "MgFeF5",
  "functional": "PBE with a Hubbard U",
  "state": "optimized geometry",
  "lattice_angstrom": [[9.736, 0.000, 0.000], [0.000, 5.192, 0.000], [0.000, 2.527, 7.021]],
  "species": ["Mg", "Mg", "Mg", "Mg", "Fe", "Fe", "Fe", "Fe", "F", "F", "F", "F", "F", "F", "F", "F", "F", "F", "F", "F", "F", "F", "F", "F", "F", "F", "F", "F"],
  "frac_coords": [[0.011, 0.521, 0.755], [0.511, 0.479, 0.745], [0.989, 0.479, 0.245], [0.489, 0.521, 0.255], [0.755, 0.102, 0.604], [0.255, 0.898, 0.896], [0.245, 0.898, 0.396], [0.745, 0.102, 0.104], [0.889, 0.391, 0.584], [0.389, 0.609, 0.916], [0.111, 0.609, 0.416], [0.611, 0.391, 0.084], [0.605, 0.355, 0.492], [0.105, 0.645, 0.008], [0.395, 0.645, 0.508], [0.895, 0.355, 0.992], [0.403, 0.146, 0.803], [0.903, 0.854, 0.697], [0.597, 0.854, 0.197], [0.097, 0.146, 0.303], [0.135, 0.208, 0.844], [0.635, 0.792, 0.656], [0.865, 0.792, 0.156], [0.365, 0.208, 0.344], [0.683, 0.175, 0.835], [0.183, 0.825, 0.665], [0.317, 0.825, 0.165], [0.817, 0.175, 0.335]],
  "crystal_system": "monoclinic",
  "relative_energy_kj_per_mol_atoms": 0.9,
  "formation_enthalpy_0k_kj_per_mol_atoms": -299,
  "corrected_energy_ev_per_atom": -5.902
}